This record from the Materials Project database describes a relaxed V2InC crystal. The functional is PBE.

Cell and atoms, written as CIF:
```
data_V2InC
_space_group_name_H-M_alt 'P 63/m m c'
_space_group_IT_number 194
_space_group_name_Hall '-P 6c 2c'
_cell_length_a 3.0250
_cell_length_b 3.0250
_cell_length_c 13.6092
_cell_angle_alpha 90.00
_cell_angle_beta 90.00
_cell_angle_gamma 120.00
loop_
_atom_site_label
_atom_site_type_symbol
_atom_site_fract_x
_atom_site_fract_y
_atom_site_fract_z
V1 V 0.3333 0.6667 0.0776
In1 In 0.3333 0.6667 0.7500
C1 C 0.0000 0.0000 0.0000
```

Properties
- energy (eV per atom) = -7.88